1.
The following is a DFT calculation (meta-GGA r2SCAN) of an optimized crystal structure of Ho3Si11Pt23.

The structure in extended XYZ format:
```
74
Lattice="0.000 8.438 8.438 8.438 0.000 8.438 8.438 8.438 0.000" Properties=species:S:1:pos:R:3 pbc="T T T"
Ho 12.658 12.658 16.877
Ho 4.219 8.438 4.219
Ho 8.438 4.219 4.219
Ho 4.219 4.219 8.438
Ho 12.657 8.438 4.219
Ho 8.438 12.657 4.219
Si 8.438 8.438 13.990
Si 8.438 2.887 8.438
Si 2.887 8.438 8.438
Si 8.438 8.438 2.887
Si 8.438 13.990 8.438
Si 13.990 8.438 8.438
Si 11.230 11.230 14.085
Si 11.230 14.085 11.230
Si 14.085 11.230 11.230
Si 14.085 14.085 14.085
Si 5.647 5.647 2.791
Si 5.647 2.791 5.647
Si 2.791 5.647 5.647
Si 2.791 2.791 2.791
Si 6.640 6.640 10.236
Si 6.640 10.236 6.640
Si 10.236 6.640 6.640
Si 10.236 10.236 10.236
Si 10.236 10.236 6.640
Si 10.236 6.640 10.236
Si 6.640 10.236 10.236
Si 6.640 6.640 6.640
Pt 9.840 9.840 15.476
Pt 9.840 15.476 9.840
Pt 15.476 9.840 9.840
Pt 15.476 15.476 15.476
Pt 7.037 7.037 1.401
Pt 7.037 1.401 7.037
Pt 1.401 7.037 7.037
Pt 1.401 1.401 1.401
Pt 13.641 13.641 11.674
Pt 13.641 11.674 13.641
Pt 11.674 13.641 13.641
Pt 11.674 11.674 11.674
Pt 3.236 3.236 5.203
Pt 3.236 5.203 3.236
Pt 5.203 3.236 3.236
Pt 5.203 5.203 5.203
Pt 8.438 8.438 10.552
Pt 8.438 6.325 8.438
Pt 6.325 8.438 8.438
Pt 8.438 8.438 6.325
Pt 8.438 10.552 8.438
Pt 10.552 8.438 8.438
Pt 4.251 9.869 7.008
Pt 9.869 9.869 12.626
Pt 9.869 4.251 7.008
Pt 4.251 7.008 9.869
Pt 9.869 7.008 4.251
Pt 9.869 12.626 9.869
Pt 12.626 9.869 9.869
Pt 7.008 9.869 4.251
Pt 7.008 4.251 9.869
Pt 12.626 7.008 7.008
Pt 7.008 7.008 12.626
Pt 7.008 12.626 7.008
Pt 12.626 7.008 9.869
Pt 7.008 7.008 4.251
Pt 7.008 12.626 9.869
Pt 12.626 9.869 7.008
Pt 7.008 9.869 12.626
Pt 7.008 4.251 7.008
Pt 4.251 7.008 7.008
Pt 9.869 7.008 12.626
Pt 9.869 12.626 7.008
Pt 4.251 9.869 9.869
Pt 9.869 9.869 4.251
Pt 9.869 4.251 9.869
```

uncorrected energy	-38.23	eV/atom
volume	1201.7	Å³ per cell
energy of formation from the pure elements	-0.95	eV per atom
SG	Fm-3m

=====

2.
The following is a DFT calculation (meta-GGA r2SCAN) of an optimized crystal structure of HoSi2Pt2.

The structure in extended XYZ format:
```
10
Lattice="4.141 0.000 0.000 0.000 4.141 0.000 0.000 0.000 9.913" Properties=species:S:1:pos:R:3 pbc="T T T"
Ho 3.106 3.106 7.403
Ho 1.035 1.035 2.510
Si 3.106 3.106 1.342
Si 1.035 3.106 4.957
Si 1.035 1.035 8.571
Si 3.106 1.035 4.957
Pt 1.035 1.035 6.199
Pt 3.106 1.035 0.000
Pt 1.035 3.106 0.000
Pt 3.106 3.106 3.714
```

uncorrected energy	-31.85	eV/atom
volume	170.0	Å³ per cell
energy of formation from the pure elements	-1.16	eV per atom
SG	P4/nmm

=====

3.
The following is a DFT calculation (meta-GGA r2SCAN) of an optimized crystal structure of HoSiPt.

The structure in extended XYZ format:
```
12
Lattice="-1.495 3.599 1.745 -6.229 -1.204 -2.854 -2.039 -3.776 6.042" Properties=species:S:1:pos:R:3 pbc="T T T"
Ho -4.897 -2.347 3.258
Ho -8.209 -3.315 2.416
Ho -4.866 0.966 1.675
Ho -1.554 1.934 2.517
Si -6.280 -1.637 0.608
Si -2.502 0.193 0.070
Si -3.483 0.256 4.324
Si -7.261 -1.574 4.862
Pt -2.467 -0.909 2.373
Pt -4.908 -0.264 -1.050
Pt -7.296 -0.472 2.559
Pt -4.855 -1.118 5.982
```

uncorrected energy	-32.35	eV/atom
volume	220.1	Å³ per cell
energy of formation from the pure elements	-1.31	eV per atom
SG	Pnma

=====

4.
The following is a DFT calculation (meta-GGA r2SCAN) of an optimized crystal structure of HoSnPt.

The structure in extended XYZ format:
```
9
Lattice="-1.970 -2.929 -6.561 2.777 -4.378 5.350 -3.694 -0.639 1.394" Properties=species:S:1:pos:R:3 pbc="T T T"
Ho -1.520 -3.282 0.206
Ho -3.018 -2.061 -3.204
Ho -0.196 -2.922 3.878
Sn 0.720 -1.135 1.387
Sn 0.597 -5.412 -0.897
Sn -0.511 -0.759 -1.701
Pt -0.388 -3.412 -2.590
Pt -1.847 -0.319 0.697
Pt 1.194 -3.895 1.380
```

uncorrected energy	-37.57	eV/atom
volume	192.3	Å³ per cell
energy of formation from the pure elements	-1.20	eV per atom
SG	P-62m

=====

5.
The following is a DFT calculation (meta-GGA r2SCAN) of an optimized crystal structure of HoRh.

The structure in extended XYZ format:
```
2
Lattice="-0.282 2.051 -2.680 -2.632 -1.816 -1.113 -2.112 1.990 1.746" Properties=species:S:1:pos:R:3 pbc="T T T"
Ho 0.000 0.000 0.000
Rh -2.513 1.113 -1.024
```

uncorrected energy	-29.49	eV/atom
volume	38.8	Å³ per cell
energy of formation from the pure elements	-0.98	eV per atom
SG	Pm-3m

=====

6.
The following is a DFT calculation (meta-GGA r2SCAN) of an optimized crystal structure of Ho5Rh3.

The structure in extended XYZ format:
```
16
Lattice="8.179 0.000 0.000 -4.090 7.084 0.000 0.000 0.000 6.244" Properties=species:S:1:pos:R:3 pbc="T T T"
Ho -3.052 5.286 4.683
Ho -1.038 1.798 1.561
Ho 3.052 5.286 1.561
Ho 6.103 0.000 4.683
Ho 1.038 1.798 4.683
Ho 2.076 0.000 1.561
Ho 0.000 4.722 3.122
Ho 4.090 2.361 0.000
Ho 4.090 2.361 3.122
Ho 0.000 4.722 0.000
Rh 3.236 0.000 4.683
Rh 1.618 2.802 1.561
Rh -2.472 4.281 1.561
Rh -1.618 2.802 4.683
Rh 2.472 4.281 4.683
Rh 4.944 0.000 1.561
```

uncorrected energy	-30.39	eV/atom
volume	361.8	Å³ per cell
energy of formation from the pure elements	-0.79	eV per atom
SG	P6_3/mcm

=====

Question: What is the volume in the fifth record?
Answer: 38.8 Å³ per cell

=====

Please write out number 3 again, unchanged.
The following is a DFT calculation (meta-GGA r2SCAN) of an optimized crystal structure of HoSiPt.

The structure in extended XYZ format:
```
12
Lattice="-1.495 3.599 1.745 -6.229 -1.204 -2.854 -2.039 -3.776 6.042" Properties=species:S:1:pos:R:3 pbc="T T T"
Ho -4.897 -2.347 3.258
Ho -8.209 -3.315 2.416
Ho -4.866 0.966 1.675
Ho -1.554 1.934 2.517
Si -6.280 -1.637 0.608
Si -2.502 0.193 0.070
Si -3.483 0.256 4.324
Si -7.261 -1.574 4.862
Pt -2.467 -0.909 2.373
Pt -4.908 -0.264 -1.050
Pt -7.296 -0.472 2.559
Pt -4.855 -1.118 5.982
```

uncorrected energy	-32.35	eV/atom
volume	220.1	Å³ per cell
energy of formation from the pure elements	-1.31	eV per atom
SG	Pnma